1.
# Li4V2Co3Sn3O16

Li4V2Co3Sn3O16 after structural relaxation (PBE with a Hubbard U, Materials Project).

VASP energy (eV/atom): -6.23
Energy relative to the elements (meV per atom): -1983
ρ (g/cm³): 4.83
Energy with MP2020 corrections (eV per atom): -6.92
Space-group type: Cm (8)

a b c (Å): 6.165 6.165 9.670
angles (deg): 90.50 90.50 59.18
Positions (direct):
Li: 0.000 0.000 0.000
Li: 0.009 0.009 0.520
Li: 0.306 0.306 0.600
Li: 0.660 0.660 0.099
V: 0.314 0.314 0.003
V: 0.628 0.628 0.529
Co: 0.167 0.167 0.285
Co: 0.330 0.812 0.792
Co: 0.812 0.330 0.792
Sn: 0.164 0.656 0.286
Sn: 0.656 0.164 0.286
Sn: 0.814 0.814 0.787
O: 0.001 0.001 0.188
O: 0.044 0.475 0.147
O: 0.165 0.632 0.913
O: 0.172 0.172 0.914
O: 0.327 0.327 0.400
O: 0.350 0.812 0.414
O: 0.475 0.044 0.147
O: 0.480 0.480 0.160
O: 0.500 0.500 0.640
O: 0.508 0.934 0.647
O: 0.632 0.165 0.913
O: 0.652 0.652 0.896
O: 0.812 0.350 0.414
O: 0.844 0.844 0.408
O: 0.934 0.508 0.647
O: 0.988 0.988 0.709


2.
# LiCoPO4

LiCoPO4 after structural relaxation (PBE with a Hubbard U, Materials Project).

VASP energy (eV/atom): -6.58
Energy relative to the elements (meV per atom): -2317
ρ (g/cm³): 2.68
Energy relative to the lowest polymorph listed for this composition (meV/atom): 90.6
Energy with MP2020 corrections (eV per atom): -7.21
Space-group type: P6_422 (181)

a b c (Å): 10.577 10.577 12.359
angles (deg): 90.00 90.00 120.00
Positions (direct):
Li: 0.000 0.000 0.000
Li: 0.000 0.000 0.333
Li: 0.000 0.000 0.667
Li: 0.000 0.500 0.161
Li: 0.000 0.500 0.506
Li: 0.000 0.500 0.833
Li: 0.500 0.000 0.172
Li: 0.500 0.000 0.500
Li: 0.500 0.000 0.828
Li: 0.500 0.500 0.167
Li: 0.500 0.500 0.494
Li: 0.500 0.500 0.839
Co: 0.000 0.251 0.333
Co: 0.000 0.749 0.333
Co: 0.249 0.499 0.000
Co: 0.249 0.751 0.667
Co: 0.251 0.000 0.000
Co: 0.251 0.251 0.667
Co: 0.499 0.249 0.333
Co: 0.501 0.751 0.333
Co: 0.749 0.000 0.000
Co: 0.749 0.749 0.667
Co: 0.751 0.249 0.667
Co: 0.751 0.501 0.000
P: 0.000 0.245 0.833
P: 0.000 0.755 0.833
P: 0.245 0.000 0.500
P: 0.245 0.245 0.167
P: 0.248 0.496 0.500
P: 0.248 0.752 0.167
P: 0.496 0.248 0.833
P: 0.504 0.752 0.833
P: 0.752 0.248 0.167
P: 0.752 0.504 0.500
P: 0.755 0.000 0.500
P: 0.755 0.755 0.167
O: 0.067 0.190 0.746
O: 0.067 0.877 0.921
O: 0.104 0.406 0.436
O: 0.104 0.698 0.231
O: 0.111 0.394 0.884
O: 0.111 0.717 0.782
O: 0.123 0.190 0.254
O: 0.123 0.933 0.413
O: 0.190 0.067 0.587
O: 0.190 0.123 0.079
O: 0.202 0.583 0.575
O: 0.202 0.619 0.092
O: 0.283 0.394 0.116
O: 0.283 0.889 0.551
O: 0.302 0.406 0.564
O: 0.302 0.896 0.103
O: 0.381 0.583 0.425
O: 0.381 0.798 0.241
O: 0.394 0.111 0.449
O: 0.394 0.283 0.218
O: 0.406 0.104 0.897
O: 0.406 0.302 0.769
O: 0.417 0.619 0.908
O: 0.417 0.798 0.759
O: 0.583 0.202 0.759
O: 0.583 0.381 0.908
O: 0.594 0.698 0.769
O: 0.594 0.896 0.897
O: 0.606 0.717 0.218
O: 0.606 0.889 0.449
O: 0.619 0.202 0.241
O: 0.619 0.417 0.425
O: 0.698 0.104 0.103
O: 0.698 0.594 0.564
O: 0.717 0.111 0.551
O: 0.717 0.606 0.116
O: 0.798 0.381 0.092
O: 0.798 0.417 0.575
O: 0.810 0.877 0.079
O: 0.810 0.933 0.587
O: 0.877 0.067 0.413
O: 0.877 0.810 0.254
O: 0.889 0.283 0.782
O: 0.889 0.606 0.884
O: 0.896 0.302 0.231
O: 0.896 0.594 0.436
O: 0.933 0.123 0.921
O: 0.933 0.810 0.746


3.
# NdMgCuW2O8

NdMgCuW2O8 after structural relaxation (PBE with a Hubbard U, Materials Project).

VASP energy (eV/atom): -7.12
Energy relative to the elements (meV per atom): -2385
ρ (g/cm³): 6.75
Energy relative to the lowest polymorph listed for this composition (meV/atom): 12.1
Energy with MP2020 corrections (eV per atom): -8.23
Space-group type: P1 (1)

a b c (Å): 5.345 6.204 6.275
angles (deg): 106.84 91.92 114.02
Positions (direct):
Nd: 0.000 0.000 0.000
Mg: 0.703 0.391 0.856
Cu: 0.459 0.931 0.464
W: 0.233 0.452 0.638
W: 0.736 0.468 0.348
O: 0.452 0.243 0.527
O: 0.483 0.637 0.441
O: 0.485 0.212 0.062
O: 0.516 0.654 0.886
O: 0.927 0.671 0.185
O: 0.948 0.257 0.338
O: 0.969 0.233 0.787
O: 0.976 0.633 0.680